First-principles (GGA+U) data for an optimized crystal structure of Y3Al3Cr2O12, as listed in the Materials Project.

abc: 12.2834 12.2834 12.2834
angles: 90.00 90.00 90.00
With the nearest neighbours (Å) after each atom.
Space group Ia-3d (No. 230)
Unique sites:
Y: 0.0000 0.2500 0.1250 x24  8 O 2.35-2.46
Al: 0.0000 0.2500 0.3750 x24  4 O 1.79
Cr: 0.0000 0.0000 0.0000 x16  6 O 2.03
O: 0.0309 0.0545 0.6533 x96  1 Al 1.79



First-principles (GGA+U) data for an optimized crystal structure of Al4Zn3Cr2O12, as listed in the Materials Project.

abc: 19.4241 5.8144 8.2803
angles: 90.00 114.59 90.00
With the nearest neighbours (Å) after each atom.
Space group C2/m (No. 12)
Unique sites:
Al: 0.0843 0.2491 0.3326 x8  6 O 1.92-1.95
Al: 0.1670 0.0000 0.1666 x4  6 O 1.93-1.95
Al: 0.2500 0.2500 0.0000 x4  6 O 1.93-1.96
Zn: 0.0835 0.5000 0.9590 x4  4 O 1.98-2.00
Zn: 0.0841 0.0000 0.7125 x4  4 O 1.98-1.99
Zn: 0.2493 0.0000 0.6236 x4  4 O 1.99-2.00
Cr: 0.0000 0.0000 0.0000 x2  6 O 2.02
Cr: 0.0000 0.5000 0.5000 x2  6 O 2.01-2.03
Cr: 0.1676 0.5000 0.6668 x4  6 O 2.01-2.02
O: 0.0114 0.0000 0.2538 x4  2 Al 1.94, 1 Zn 1.99, 1 Cr 2.02
O: 0.0109 0.5000 0.2665 x4  2 Al 1.95, 1 Zn 2.00, 1 Cr 2.03
O: 0.0837 0.2672 0.5636 x8  1 Al 1.92, 1 Zn 1.98, 2 Cr 2.01
O: 0.0868 0.2246 0.1031 x8  2 Al 1.93, 1 Zn 1.98, 1 Cr 2.02
O: 0.1559 0.5000 0.4129 x4  2 Al 1.93, 1 Zn 1.99, 1 Cr 2.02
O: 0.1580 0.0000 0.3925 x4  3 Al 1.95, 1 Zn 2.00
O: 0.1761 0.0000 0.9403 x4  3 Al 1.95-1.96, 1 Zn 1.99
O: 0.1778 0.5000 0.9199 x4  2 Al 1.93, 1 Zn 1.99, 1 Cr 2.02
O: 0.2467 0.2260 0.2295 x8  2 Al 1.93, 1 Zn 1.99, 1 Cr 2.01



First-principles (GGA+U) data for an optimized crystal structure of Cs3Li2AlMo4O16, as listed in the Materials Project.

abc: 12.6147 12.6147 12.3064
angles: 90.00 90.00 90.00
With the nearest neighbours (Å) after each atom.
Space group I-42d (No. 122)
Unique sites:
Cs: 0.0000 0.0000 0.0000 x4  12 O 3.38-3.49
Cs: 0.1380 0.7500 0.6250 x8  12 O 3.35-3.54, 2 Li 3.74
Li: 0.1244 0.2500 0.1250 x8  4 O 1.96-1.97
Al: 0.0000 0.0000 0.5000 x4  4 O 1.76
Mo: 0.0944 0.6505 0.9681 x16  4 O 1.76-1.88
O: 0.0303 0.1633 0.2156 x16  1 Mo 1.78, 1 Li 1.96
O: 0.0722 0.1771 0.8007 x16  1 Mo 1.76
O: 0.0795 0.5815 0.8332 x16  1 Al 1.76, 1 Mo 1.88
O: 0.1568 0.7235 0.2962 x16  1 Mo 1.78, 1 Li 1.97



First-principles (GGA+U) data for an optimized crystal structure of CsMgAlMo2O8, as listed in the Materials Project.

abc: 5.7360 5.7360 10.3103
angles: 90.00 90.00 120.00
With the nearest neighbours (Å) after each atom.
Space group P3m1 (No. 156)
Unique sites:
Cs: 0.0000 0.0000 0.0000 x1  6 O 3.19-3.35
Mg: 0.0000 0.0000 0.6271 x1  3 O 1.98
Al: 0.0000 0.0000 0.3801 x1  6 O 1.90-1.94
Mo: 0.3333 0.6667 0.5499 x1  4 O 1.85-1.93
Mo: 0.6667 0.3333 0.2217 x1  4 O 1.77-1.81
O: 0.1472 0.2944 0.4976 x3  1 Al 1.90, 1 Mo 1.93, 1 Mg 1.98
O: 0.3163 0.1582 0.2697 x3  1 Mo 1.81, 1 Al 1.94
O: 0.3333 0.6667 0.7289 x1  1 Mo 1.85
O: 0.6667 0.3333 0.0501 x1  1 Mo 1.77



First-principles (GGA+U) data for an optimized crystal structure of CsMgAlMo2O8, as listed in the Materials Project.

abc: 5.6738 5.6738 8.7545
angles: 90.00 90.00 120.00
With the nearest neighbours (Å) after each atom.
Space group P3m1 (No. 156)
Unique sites:
Cs: 0.0000 0.0000 0.0000 x1  9 O 3.25-3.51
Mg: 0.3333 0.6667 0.1887 x1  1 O 2.19
Al: 0.0000 0.0000 0.5392 x1  6 O 1.88-1.95
Mo: 0.3333 0.6667 0.7319 x1  4 O 1.80-1.81
Mo: 0.6667 0.3333 0.3485 x1  4 O 1.78-1.82
O: 0.1576 0.3152 0.6738 x3  1 Mo 1.80, 1 Al 1.95
O: 0.3203 0.1602 0.4220 x3  1 Mo 1.82, 1 Al 1.88
O: 0.3333 0.6667 0.9388 x1  1 Mo 1.81
O: 0.6667 0.3333 0.1454 x1  1 Mo 1.78



First-principles (GGA+U) data for an optimized crystal structure of CsAlMo2O8, as listed in the Materials Project.

abc: 5.6503 5.6503 8.2648
angles: 90.00 90.00 120.00
With the nearest neighbours (Å) after each atom.
Space group P-3m1 (No. 164)
Unique sites:
Cs: 0.0000 0.0000 0.0000 x1  12 O 3.34-3.38
Al: 0.0000 0.0000 0.5000 x1  6 O 1.91
Mo: 0.3333 0.6667 0.7022 x2  4 O 1.75-1.81
O: 0.1575 0.3150 0.6358 x6  1 Mo 1.81, 1 Al 1.91
O: 0.3333 0.6667 0.9143 x2  1 Mo 1.75



First-principles (GGA+U) data for an optimized crystal structure of Al4Fe2CuP4H16O26, as listed in the Materials Project.

abc: 7.6128 7.6932 9.8840
angles: 92.40 110.29 114.50
With the nearest neighbours (Å) after each atom.
Space group P-1 (No. 2)
Unique sites:
Al: 0.0516 0.2612 0.2233 x2  6 O 1.81-2.03
Al: 0.4428 0.2281 0.2447 x2  5 O 1.82-2.02
Fe: 0.2388 0.2490 0.7491 x2  6 O 1.99-2.16
Cu: 0.5000 0.5000 0.5000 x1  4 O 1.94-2.04
P: 0.1734 0.8491 0.5549 x2  4 O 1.53-1.56
P: 0.3598 0.6741 0.9384 x2  3 O 1.59-1.60
H: 0.1163 0.9260 0.1661 x2  1 O 1.00
H: 0.1573 0.6377 0.3167 x2  1 O 1.01
H: 0.1653 0.0646 0.9376 x2  1 O 0.98
H: 0.2293 0.3505 0.0403 x2  1 O 1.00
H: 0.2346 0.4801 0.5829 x2  1 O 0.99
H: 0.2377 0.8647 0.0789 x2  1 O 1.02
H: 0.2695 0.1590 0.4444 x2  1 O 1.00
H: 0.3000 0.6287 0.2295 x2  1 O 0.99
O: 0.0276 0.7215 0.6254 x2  1 P 1.54
O: 0.0557 0.7692 0.3847 x2  1 P 1.56, 1 H 1.74
O: 0.0824 0.0230 0.8305 x2  1 H 0.98
O: 0.1789 0.7362 0.9254 x2  1 H 1.59, 1 P 1.60
O: 0.2177 0.5569 0.2852 x2  2 H 0.99-1.01
O: 0.2224 0.2766 0.1204 x2  1 H 1.00
O: 0.2279 0.0694 0.5893 x2  1 P 1.56, 1 H 1.69
O: 0.2434 0.4416 0.8931 x2  1 P 1.59, 1 H 1.66
O: 0.2581 0.9512 0.1694 x2  2 H 1.00-1.02
O: 0.2997 0.2431 0.3722 x2  1 H 1.00
O: 0.3697 0.4886 0.6502 x2  1 H 0.99
O: 0.3757 0.8271 0.6094 x2  1 P 1.53
O: 0.4841 0.7244 0.1130 x2  1 P 1.59



First-principles (GGA+U) data for an optimized crystal structure of Sr2AlFeCu2O7, as listed in the Materials Project.

abc: 5.3152 5.4024 12.2043
angles: 102.77 102.55 90.06
With the nearest neighbours (Å) after each atom.
Space group P1 (No. 1)
Unique sites:
Sr: 0.0000 0.0000 0.0000 x1  5 O 2.47-2.61
Sr: 0.2014 0.2014 0.4045 x1  5 O 2.47-2.61
Sr: 0.5001 0.4706 0.9999 x1  5 O 2.47-2.60
Sr: 0.7020 0.6728 0.4045 x1  5 O 2.48-2.61
Al: 0.3550 0.3336 0.7022 x1  4 O 1.84
Al: 0.8565 0.8349 0.7022 x1  4 O 1.84
Fe: 0.0600 0.6530 0.2022 x1  4 O 1.89-1.96
Fe: 0.5598 0.0198 0.2022 x1  4 O 1.90-1.96
Cu: 0.2984 0.7766 0.5850 x1  4 O 1.97-1.99
Cu: 0.4164 0.8923 0.8193 x1  4 O 1.97-1.99
Cu: 0.7979 0.2745 0.5851 x1  4 O 1.97-1.99
Cu: 0.9161 0.3955 0.8192 x1  4 O 1.97-1.99
O: 0.0461 0.4772 0.0483 x1  1 Fe 1.89
O: 0.0894 0.0675 0.8089 x1  1 Al 1.84, 2 Cu 1.97-1.99
O: 0.1266 0.1027 0.5924 x1  1 Al 1.84, 2 Cu 1.97-1.98
O: 0.1933 0.9881 0.2023 x1  2 Fe 1.94-1.96
O: 0.1989 0.6321 0.3563 x1  1 Fe 1.89
O: 0.2370 0.5658 0.8116 x1  1 Al 1.84, 2 Cu 1.97-1.98
O: 0.4816 0.4588 0.5955 x1  1 Al 1.84, 2 Cu 1.97-1.99
O: 0.5448 0.0415 0.0480 x1  1 Fe 1.90
O: 0.5892 0.2106 0.8091 x1  1 Al 1.84, 2 Cu 1.97-1.99
O: 0.6271 0.9556 0.5930 x1  1 Al 1.84, 2 Cu 1.97-1.98
O: 0.6933 0.6848 0.2019 x1  2 Fe 1.94-1.96
O: 0.6989 0.1946 0.3565 x1  1 Fe 1.90
O: 0.7378 0.7144 0.8121 x1  1 Al 1.84, 2 Cu 1.97-1.98
O: 0.9815 0.6026 0.5951 x1  1 Al 1.84, 2 Cu 1.97-1.99



First-principles (GGA+U) data for an optimized crystal structure of Sr2AlFeCu2O7, as listed in the Materials Project.

abc: 23.8078 5.3093 5.4075
angles: 90.00 103.09 90.00
With the nearest neighbours (Å) after each atom.
Space group C2 (No. 5)
Unique sites:
Sr: 0.1491 0.0000 0.1388 x4  5 O 2.47-2.60
Sr: 0.1491 0.4995 0.6678 x4  5 O 2.47-2.61
Al: 0.0000 0.0036 0.0000 x2  4 O 1.83-1.86
Al: 0.0000 0.4993 0.5000 x2  4 O 1.84-1.85
Fe: 0.2502 0.0409 0.6872 x4  4 O 1.88-1.96
Cu: 0.0585 0.4982 0.0620 x4  4 O 1.96-1.99
Cu: 0.0587 0.9963 0.5577 x4  4 O 1.97-2.00
O: 0.0526 0.3156 0.7356 x4  1 Al 1.85, 2 Cu 1.97-1.99
O: 0.0537 0.8173 0.8764 x4  1 Al 1.86, 2 Cu 1.96-2.00
O: 0.0550 0.1731 0.2321 x4  1 Al 1.83, 2 Cu 1.97-1.98
O: 0.0559 0.6700 0.3822 x4  1 Al 1.84, 2 Cu 1.97
O: 0.1732 0.4772 0.1433 x4  1 Fe 1.88
O: 0.1730 0.9788 0.7091 x4  1 Fe 1.90
O: 0.2498 0.4072 0.6473 x4  2 Fe 1.94-1.96



First-principles (GGA+U) data for an optimized crystal structure of Mn4AlCu3O12, as listed in the Materials Project.

abc: 7.2965 7.2965 7.2965
angles: 90.00 90.00 90.00
With the nearest neighbours (Å) after each atom.
Space group Im-3 (No. 204)
Unique sites:
Mn: 0.2500 0.2500 0.2500 x8  6 O 1.94
Al: 0.0000 0.0000 0.0000 x2  12 O 2.48
Cu: 0.0000 0.0000 0.5000 x6  4 O 1.96
O: 0.0000 0.2934 0.1710 x24  2 Mn 1.94, 1 Cu 1.96



First-principles (GGA+U) data for an optimized crystal structure of AlCu3Ni4O12, as listed in the Materials Project.

abc: 10.0851 7.1865 7.1672
angles: 90.00 134.59 90.00
With the nearest neighbours (Å) after each atom.
Space group C2/m (No. 12)
Unique sites:
Al: 0.0000 0.0000 0.0000 x2  12 O 2.37-2.57
Cu: 0.0000 0.0000 0.5000 x2  4 O 1.86
Cu: 0.0000 0.5000 0.0000 x2  4 O 1.86
Cu: 0.0000 0.5000 0.5000 x2  4 O 1.84-1.89
Ni: 0.2500 0.2500 0.0000 x4  6 O 1.90-1.94
Ni: 0.2500 0.2500 0.5000 x4  6 O 1.92-1.95
O: 0.0019 0.1652 0.7021 x8  1 Cu 1.86, 2 Ni 1.92-1.94
O: 0.1660 0.3014 0.1634 x8  1 Cu 1.86, 2 Ni 1.90-1.95
O: 0.1904 0.5000 0.5156 x4  1 Cu 1.84, 2 Ni 1.92
O: 0.2084 0.5000 0.8658 x4  1 Cu 1.89, 2 Ni 1.94



Number 1: E_tot -8.275 eV per atom, M_tot 48.13 μB per cell, energy of formation -3421 meV/atom. Number 2: E_tot -6.828 eV per atom, M_tot 24.01 μB per cell, energy of formation -2771 meV/atom. Number 3: E_tot -6.505 eV per atom, M_tot 0.00 μB per cell, energy of formation -2313 meV/atom. Number 4: E_tot -6.406 eV per atom, M_tot 2.00 μB per cell, energy of formation -2128 meV/atom. Number 5: E_tot -6.339 eV per atom, M_tot 0.00 μB per cell, energy of formation -2061 meV/atom. Number 6: E_tot -6.887 eV per atom, M_tot 0.00 μB per cell, energy of formation -2386 meV/atom. Number 7: E_tot -6.092 eV per atom, M_tot 11.00 μB per cell, energy of formation -1974 meV/atom. Number 8: E_tot -6.154 eV per atom, M_tot 10.00 μB per cell, energy of formation -2203 meV/atom. Number 9: E_tot -6.154 eV per atom, M_tot 20.24 μB per cell, energy of formation -2203 meV/atom. Number 10: E_tot -6.392 eV per atom, M_tot 20.00 μB per cell, energy of formation -1534 meV/atom. Number 11: E_tot -5.010 eV per atom, M_tot 8.00 μB per cell, energy of formation -1003 meV/atom.